1.
DFT (PBE+U) results for a relaxed structure of Ca2NiIrO6.

Results
For the calculated formation energy, the calculation gives -2094 meV per atom. The value obtained for the electronic total energy is -6.260 eV/atom.

a = 5.4219 Å, b = 5.6318 Å, c = 9.4345 Å
α = 90.00°, β = 124.88°, γ = 90.00°
Closest atoms and distances in Å follow each position.
Space group P2_1/c (No. 14)
Asymmetric unit:
Ca (0.2329, 0.0605, 0.2481) (multiplicity 4)  6 O 2.32-2.58
Ni (0.0000, 0.0000, 0.5000) (multiplicity 2)  6 O 2.07-2.11
Ir (0.5000, 0.0000, 0.0000) (multiplicity 2)  6 O 1.96
O (0.1593, 0.1932, 0.9523) (multiplicity 4)  1 Ir 1.96, 1 Ni 2.09
O (0.2590, 0.7120, 0.9474) (multiplicity 4)  1 Ir 1.96, 1 Ni 2.11
O (0.3546, 0.0303, 0.7573) (multiplicity 4)  1 Ir 1.96, 1 Ni 2.07

2.
DFT (PBE+U) results for a relaxed structure of Ca2IrWO6.

Results
For the calculated formation energy, the calculation gives -2392 meV per atom. The value obtained for the electronic total energy is -7.085 eV/atom.

a = 5.4458 Å, b = 5.6779 Å, c = 9.5128 Å
α = 90.00°, β = 124.16°, γ = 90.00°
Closest atoms and distances in Å follow each position.
Space group P2_1/c (No. 14)
Asymmetric unit:
Ca (0.2325, 0.0543, 0.2472) (multiplicity 4)  5 O 2.31-2.55
Ir (0.0000, 0.0000, 0.5000) (multiplicity 2)  6 O 2.08-2.09
W (0.5000, 0.0000, 0.0000) (multiplicity 2)  6 O 1.98-2.03
O (0.1643, 0.1987, 0.9558) (multiplicity 4)  1 W 1.98, 1 Ir 2.08
O (0.2431, 0.7091, 0.9390) (multiplicity 4)  1 W 2.03, 1 Ir 2.09
O (0.3562, 0.0442, 0.7530) (multiplicity 4)  1 W 2.03, 1 Ir 2.09

3.
DFT (PBE+U) results for a relaxed structure of KCaLaWO6.

Results
Its polymorph energy (0 for the lowest one) is 0.0514 eV per atom. For the calculated formation energy, the calculation gives -2782 meV per atom. The value obtained for the electronic total energy is -6.996 eV/atom.

a = 8.5990 Å, b = 8.5990 Å, c = 8.5990 Å
α = 90.00°, β = 90.00°, γ = 90.00°
Closest atoms and distances in Å follow each position.
Space group F-43m (No. 216)
Asymmetric unit:
K (0.0000, 0.0000, 0.0000) (multiplicity 4)  12 O 3.05
Ca (0.0000, 0.0000, 0.5000) (multiplicity 4)  12 O 3.05
La (0.2500, 0.2500, 0.2500) (multiplicity 4)  6 O 2.35
W (0.2500, 0.2500, 0.7500) (multiplicity 4)  6 O 1.95
O (0.0232, 0.2500, 0.7500) (multiplicity 24)  1 W 1.95

4.
DFT (PBE+U) results for a relaxed structure of KCaLaWO6.

Results
Its polymorph energy (0 for the lowest one) is 0.0000 eV per atom. For the calculated formation energy, the calculation gives -2834 meV per atom. The value obtained for the electronic total energy is -7.047 eV/atom.

a = 8.5001 Å, b = 8.5056 Å, c = 8.5608 Å
α = 90.00°, β = 90.00°, γ = 90.00°
Closest atoms and distances in Å follow each position.
Space group Pnnn (No. 48, origin choice 2)
Asymmetric unit:
K (0.2500, 0.2500, 0.2500) (multiplicity 2)  4 O 2.65
K (0.2500, 0.7500, 0.7500) (multiplicity 2)  4 O 2.63
Ca (0.2500, 0.2500, 0.7500) (multiplicity 2)  12 O 2.96-3.00
Ca (0.2500, 0.7500, 0.2500) (multiplicity 2)  4 O 2.49
La (0.0000, 0.0000, 0.0000) (multiplicity 4)  6 O 2.37-2.41
W (0.0000, 0.0000, 0.5000) (multiplicity 4)  6 O 1.95-2.00
O (0.0360, 0.2251, 0.4730) (multiplicity 8)  1 W 1.95
O (0.0366, 0.5517, 0.2255) (multiplicity 8)  1 W 2.00
O (0.2251, 0.5250, 0.9600) (multiplicity 8)  1 W 1.96

5.
DFT (PBE+U) results for a relaxed structure of KCaLaWO6.

Results
Its polymorph energy (0 for the lowest one) is 0.0211 eV per atom. For the calculated formation energy, the calculation gives -2813 meV per atom. The value obtained for the electronic total energy is -7.026 eV/atom.

a = 8.3431 Å, b = 8.3431 Å, c = 8.3431 Å
α = 90.00°, β = 90.00°, γ = 90.00°
Closest atoms and distances in Å follow each position.
Space group F-43m (No. 216)
Asymmetric unit:
K (0.0000, 0.0000, 0.0000) (multiplicity 4)  12 O 2.95
Ca (0.2500, 0.2500, 0.2500) (multiplicity 4)  6 O 2.23
La (0.0000, 0.0000, 0.5000) (multiplicity 4)  12 O 2.95
W (0.2500, 0.2500, 0.7500) (multiplicity 4)  6 O 1.94
O (0.0175, 0.2500, 0.7500) (multiplicity 24)  1 W 1.94

6.
DFT (PBE+U) results for a relaxed structure of KCa9MnP7O28.

Results
For the calculated formation energy, the calculation gives -3229 meV per atom. The value obtained for the electronic total energy is -7.226 eV/atom.

a = 10.5487 Å, b = 10.5487 Å, c = 37.3893 Å
α = 90.00°, β = 90.00°, γ = 120.00°
Closest atoms and distances in Å follow each position.
Space group R3c (No. 161, hexagonal axes)
Asymmetric unit:
K (0.0000, 0.0000, 0.0000) (multiplicity 6)  3 O 2.64
Ca (0.0543, 0.5093, 0.2835) (multiplicity 18)  6 O 2.39-2.47
Ca (0.1872, 0.4035, 0.0237) (multiplicity 18)  8 O 2.41-2.68
Ca (0.1924, 0.3939, 0.9174) (multiplicity 18)  7 O 2.35-2.52
Mn (0.0000, 0.0000, 0.1826) (multiplicity 6)  6 O 2.18-2.21
P (0.0000, 0.0000, 0.4155) (multiplicity 6)  4 O 1.55-1.56
P (0.0121, 0.4828, 0.4844) (multiplicity 18)  4 O 1.55-1.57
P (0.1544, 0.3510, 0.7144) (multiplicity 18)  4 O 1.55-1.58
O (0.0000, 0.0000, 0.3739) (multiplicity 6)  1 P 1.55
O (0.0043, 0.2803, 0.0700) (multiplicity 18)  1 P 1.57
O (0.0340, 0.2433, 0.2984) (multiplicity 18)  1 P 1.55
O (0.0426, 0.5104, 0.5250) (multiplicity 18)  1 P 1.55
O (0.0671, 0.3773, 0.4725) (multiplicity 18)  1 P 1.55
O (0.0890, 0.1818, 0.7205) (multiplicity 18)  1 P 1.58
O (0.1156, 0.4316, 0.2268) (multiplicity 18)  1 P 1.55
O (0.1396, 0.3866, 0.6750) (multiplicity 18)  1 P 1.55
O (0.1436, 0.0072, 0.9289) (multiplicity 18)  1 P 1.56
O (0.1779, 0.0752, 0.1428) (multiplicity 18)  1 P 1.57

7.
DFT (PBE+U) results for a relaxed structure of KSrCaMnO6.

Results
For the calculated formation energy, the calculation gives -2051 meV per atom. The value obtained for the electronic total energy is -5.838 eV/atom.

a = 8.3187 Å, b = 8.3187 Å, c = 8.3187 Å
α = 90.00°, β = 90.00°, γ = 90.00°
Closest atoms and distances in Å follow each position.
Space group F-43m (No. 216)
Asymmetric unit:
K (0.0000, 0.0000, 0.0000) (multiplicity 4)  12 O 2.95
Sr (0.0000, 0.0000, 0.5000) (multiplicity 4)  12 O 2.95
Ca (0.2500, 0.2500, 0.2500) (multiplicity 4)  6 O 2.27
Mn (0.2500, 0.2500, 0.7500) (multiplicity 4)  6 O 1.89
O (0.0230, 0.2500, 0.7500) (multiplicity 24)  1 Mn 1.89

8.
DFT (PBE+U) results for a relaxed structure of KNaCaSi8Ni5O24.

Results
For the calculated formation energy, the calculation gives -2625 meV per atom. The value obtained for the electronic total energy is -6.783 eV/atom.

a = 5.2964 Å, b = 10.0857 Å, c = 10.3459 Å
α = 114.96°, β = 97.59°, γ = 104.73°
Closest atoms and distances in Å follow each position.
Space group P1 (No. 1)
Asymmetric unit:
K (0.0000, 0.0000, 0.0000) (multiplicity 1)  4 O 2.63-2.92
Na (0.7442, 0.2058, 0.4491) (multiplicity 1)  4 O 2.41-2.45
Ca (0.2940, 0.7558, 0.5490) (multiplicity 1)  5 O 2.38-2.66
Si (0.1675, 0.9367, 0.3388) (multiplicity 1)  4 O 1.59-1.67
Si (0.2124, 0.3665, 0.3397) (multiplicity 1)  4 O 1.59-1.68
Si (0.4051, 0.6692, 0.8276) (multiplicity 1)  4 O 1.61-1.66
Si (0.4625, 0.1221, 0.8273) (multiplicity 1)  4 O 1.61-1.66
Si (0.5749, 0.8403, 0.1679) (multiplicity 1)  4 O 1.62-1.65
Si (0.6333, 0.2915, 0.1682) (multiplicity 1)  4 O 1.62-1.65
Si (0.8240, 0.5933, 0.6566) (multiplicity 1)  4 O 1.61-1.69
Si (0.8726, 0.0268, 0.6556) (multiplicity 1)  4 O 1.61-1.69
Ni (0.1033, 0.5649, 0.1661) (multiplicity 1)  6 O 1.95-2.10
Ni (0.3397, 0.3011, 0.6387) (multiplicity 1)  6 O 2.02-2.14
Ni (0.5184, 0.4803, 0.9967) (multiplicity 1)  6 O 2.08-2.09
Ni (0.6956, 0.6573, 0.3509) (multiplicity 1)  6 O 2.05-2.13
Ni (0.9334, 0.3950, 0.8265) (multiplicity 1)  6 O 1.93-2.10
O (0.0838, 0.7652, 0.3361) (multiplicity 1)  1 Si 1.66
O (0.1183, 0.3859, 0.9949) (multiplicity 1)  3 Ni 1.93-2.08
O (0.1440, 0.7055, 0.7641) (multiplicity 1)  2 Si 1.64-1.69
O (0.1475, 0.0029, 0.7328) (multiplicity 1)  2 Si 1.66-1.69
O (0.2083, 0.3734, 0.4960) (multiplicity 1)  1 Si 1.59
O (0.2925, 0.5346, 0.3363) (multiplicity 1)  1 Si 1.66
O (0.3260, 0.5016, 0.8219) (multiplicity 1)  1 Si 1.61
O (0.3267, 0.0854, 0.4960) (multiplicity 1)  1 Si 1.59
O (0.3693, 0.9340, 0.2268) (multiplicity 1)  2 Si 1.63-1.67
O (0.4077, 0.2685, 0.2585) (multiplicity 1)  2 Si 1.64-1.67
O (0.4901, 0.1489, 0.9971) (multiplicity 1)  2 Si 1.64-1.65
O (0.5012, 0.6770, 0.1730) (multiplicity 1)  1 Si 1.62
O (0.5356, 0.2837, 0.8216) (multiplicity 1)  1 Si 1.61
O (0.5499, 0.8115, 0.9971) (multiplicity 1)  2 Si 1.64-1.65
O (0.6244, 0.6935, 0.7322) (multiplicity 1)  2 Si 1.66-1.69
O (0.6613, 0.0227, 0.7645) (multiplicity 1)  2 Si 1.64-1.69
O (0.7026, 0.8702, 0.5036) (multiplicity 1)  1 Si 1.61
O (0.7120, 0.4597, 0.1732) (multiplicity 1)  1 Si 1.62
O (0.7458, 0.4306, 0.6657) (multiplicity 1)  1 Si 1.63
O (0.8401, 0.5963, 0.5035) (multiplicity 1)  1 Si 1.61
O (0.8905, 0.9542, 0.2590) (multiplicity 1)  2 Si 1.64-1.67
O (0.8983, 0.2567, 0.2267) (multiplicity 1)  2 Si 1.63-1.68
O (0.9164, 0.5717, 0.9950) (multiplicity 1)  3 Ni 1.93-2.08
O (0.9596, 0.1986, 0.6652) (multiplicity 1)  1 Si 1.63

9.
DFT (PBE+U) results for a relaxed structure of KCaNdWO6.

Results
Its polymorph energy (0 for the lowest one) is 0.0421 eV per atom. For the calculated formation energy, the calculation gives -2777 meV per atom. The value obtained for the electronic total energy is -6.974 eV/atom.

a = 8.5281 Å, b = 8.5281 Å, c = 8.5281 Å
α = 90.00°, β = 90.00°, γ = 90.00°
Closest atoms and distances in Å follow each position.
Space group F-43m (No. 216)
Asymmetric unit:
K (0.0000, 0.0000, 0.0000) (multiplicity 4)  12 O 3.02
Ca (0.0000, 0.0000, 0.5000) (multiplicity 4)  12 O 3.02
Nd (0.2500, 0.2500, 0.7500) (multiplicity 4)  6 O 2.32
W (0.2500, 0.2500, 0.2500) (multiplicity 4)  6 O 1.95
O (0.0215, 0.2500, 0.2500) (multiplicity 24)  1 W 1.95

10.
DFT (PBE+U) results for a relaxed structure of KCaNdWO6.

Results
Its polymorph energy (0 for the lowest one) is 0.0000 eV per atom. For the calculated formation energy, the calculation gives -2819 meV per atom. The value obtained for the electronic total energy is -7.016 eV/atom.

a = 8.4202 Å, b = 8.4317 Å, c = 8.4754 Å
α = 90.00°, β = 90.00°, γ = 90.00°
Closest atoms and distances in Å follow each position.
Space group Pnnn (No. 48, origin choice 2)
Asymmetric unit:
K (0.2500, 0.2500, 0.2500) (multiplicity 2)  4 O 2.65
K (0.2500, 0.7500, 0.7500) (multiplicity 2)  4 O 2.67
Ca (0.2500, 0.2500, 0.7500) (multiplicity 2)  4 O 2.52
Ca (0.2500, 0.7500, 0.2500) (multiplicity 2)  12 O 2.93-2.96
Nd (0.0000, 0.0000, 0.0000) (multiplicity 4)  6 O 2.33-2.36
W (0.0000, 0.0000, 0.5000) (multiplicity 4)  6 O 1.94-1.99
O (0.0319, 0.0471, 0.7279) (multiplicity 8)  1 W 1.99
O (0.0330, 0.7266, 0.9785) (multiplicity 8)  1 W 1.94
O (0.2270, 0.0244, 0.4669) (multiplicity 8)  1 W 1.94

11.
DFT (PBE+U) results for a relaxed structure of KCaTbWO6.

Results
For the calculated formation energy, the calculation gives -2869 meV per atom. The value obtained for the electronic total energy is -7.053 eV/atom.

a = 8.3683 Å, b = 8.3683 Å, c = 8.3683 Å
α = 90.00°, β = 90.00°, γ = 90.00°
Closest atoms and distances in Å follow each position.
Space group F-43m (No. 216)
Asymmetric unit:
K (0.0000, 0.0000, 0.0000) (multiplicity 4)  12 O 2.96
Ca (0.0000, 0.0000, 0.5000) (multiplicity 4)  12 O 2.96
Tb (0.2500, 0.2500, 0.2500) (multiplicity 4)  6 O 2.24
W (0.2500, 0.2500, 0.7500) (multiplicity 4)  6 O 1.95
O (0.0172, 0.2500, 0.7500) (multiplicity 24)  1 W 1.95

12.
DFT (PBE+U) results for a relaxed structure of K4CaV6O16.

Results
For the calculated formation energy, the calculation gives -2395 meV per atom. The value obtained for the electronic total energy is -6.800 eV/atom.

a = 12.8824 Å, b = 12.6134 Å, c = 6.2385 Å
α = 90.00°, β = 98.39°, γ = 90.00°
Closest atoms and distances in Å follow each position.
Space group Cm (No. 8)
Asymmetric unit:
K (0.0000, 0.0000, 0.0000) (multiplicity 2)  4 O 2.53-2.77
K (0.1495, 0.5000, 0.1140) (multiplicity 2)  5 O 2.88-3.11
K (0.3507, 0.1760, 0.1099) (multiplicity 4)  3 O 2.70-2.92
Ca (0.4557, 0.5000, 0.4759) (multiplicity 2)  5 O 2.44-2.45
V (0.0429, 0.2463, 0.6638) (multiplicity 4)  1 O 1.66
V (0.1762, 0.0000, 0.6206) (multiplicity 2)  4 O 1.72-1.86
V (0.2934, 0.3616, 0.6629) (multiplicity 4)  4 O 1.72-1.86
V (0.4402, 0.0000, 0.6688) (multiplicity 2)  4 O 1.68-1.83
O (0.0073, 0.3886, 0.7827) (multiplicity 4)  1 V 1.75
O (0.0122, 0.2493, 0.3957) (multiplicity 4)  1 V 1.66
O (0.0869, 0.1003, 0.7154) (multiplicity 4)  2 V 1.86-1.94
O (0.1271, 0.0000, 0.3491) (multiplicity 2)  1 V 1.72
O (0.1897, 0.2900, 0.7495) (multiplicity 4)  2 V 1.76-1.97
O (0.2996, 0.5000, 0.7669) (multiplicity 2)  2 V 1.86
O (0.3055, 0.3814, 0.3945) (multiplicity 4)  1 V 1.72
O (0.3130, 0.0000, 0.7676) (multiplicity 2)  2 V 1.83-1.86
O (0.4155, 0.3047, 0.7861) (multiplicity 4)  1 V 1.80
O (0.4243, 0.0000, 0.3967) (multiplicity 2)  1 V 1.68